An optimized crystal structure of CdPbO3. Source: Materials Project, functional r²SCAN.

Unit cell a=9.0858 b=9.0858 c=9.0858 alpha=110.51 beta=109.90 gamma=108.01
With the nearest neighbours (Å) after each atom.
Element x y z (fractional)
Cd: 0.0000 0.0000 0.0000  6 O 2.29-2.34
Cd: 0.0000 0.5000 0.5000  6 O 2.29-2.34
Cd: 0.2170 0.2500 0.4670  6 O 2.25-2.36
Cd: 0.2830 0.7500 0.0330  6 O 2.25-2.36
Cd: 0.5000 0.0000 0.5000  6 O 2.29-2.34
Cd: 0.5000 0.5000 0.0000  6 O 2.29-2.34
Cd: 0.7170 0.2500 0.9670  6 O 2.25-2.36
Cd: 0.7830 0.7500 0.5330  6 O 2.25-2.36
Pb: 0.0325 0.2825 0.7500  6 O 2.15-2.26
Pb: 0.2500 0.0357 0.7857  6 O 2.17-2.26
Pb: 0.2500 0.5357 0.2857  6 O 2.17-2.26
Pb: 0.4675 0.2175 0.2500  6 O 2.15-2.26
Pb: 0.5325 0.7825 0.7500  6 O 2.15-2.26
Pb: 0.7500 0.4643 0.7143  6 O 2.17-2.26
Pb: 0.7500 0.9643 0.2143  6 O 2.17-2.26
Pb: 0.9675 0.7175 0.2500  6 O 2.15-2.26
O: 0.0018 0.9555 0.2333  2 Pb 2.15-2.26, 2 Cd 2.29-2.33
O: 0.0262 0.5354 0.7715  2 Pb 2.20-2.26, 2 Cd 2.25-2.29
O: 0.0511 0.7818 0.5349  2 Pb 2.17-2.22, 2 Cd 2.34-2.36
O: 0.2222 0.7685 0.2667  2 Pb 2.15-2.26, 2 Cd 2.29-2.33
O: 0.2362 0.9646 0.9908  2 Pb 2.20-2.26, 2 Cd 2.25-2.29
O: 0.2469 0.2818 0.2307  2 Pb 2.17-2.22, 2 Cd 2.34-2.36
O: 0.2531 0.4838 0.0349  2 Pb 2.17-2.22, 2 Cd 2.34-2.36
O: 0.2638 0.2546 0.7285  2 Pb 2.20-2.26, 2 Cd 2.25-2.29
O: 0.2778 0.5445 0.5463  2 Pb 2.15-2.26, 2 Cd 2.29-2.33
O: 0.4489 0.9838 0.7307  2 Pb 2.17-2.22, 2 Cd 2.34-2.36
O: 0.4738 0.2454 0.5092  2 Pb 2.20-2.26, 2 Cd 2.25-2.29
O: 0.4982 0.7315 0.9537  2 Pb 2.15-2.26, 2 Cd 2.29-2.33
O: 0.5018 0.2685 0.0463  2 Pb 2.15-2.26, 2 Cd 2.29-2.33
O: 0.5262 0.7546 0.4908  2 Pb 2.20-2.26, 2 Cd 2.25-2.29
O: 0.5511 0.0162 0.2693  2 Pb 2.17-2.22, 2 Cd 2.34-2.36
O: 0.7222 0.4555 0.4537  2 Pb 2.15-2.26, 2 Cd 2.29-2.33
O: 0.7362 0.7454 0.2715  2 Pb 2.20-2.26, 2 Cd 2.25-2.29
O: 0.7469 0.5162 0.9651  2 Pb 2.17-2.22, 2 Cd 2.34-2.36
O: 0.7531 0.7182 0.7693  2 Pb 2.17-2.22, 2 Cd 2.34-2.36
O: 0.7638 0.0354 0.0092  2 Pb 2.20-2.26, 2 Cd 2.25-2.29
O: 0.7778 0.2315 0.7333  2 Pb 2.15-2.26, 2 Cd 2.29-2.33
O: 0.9489 0.2182 0.4651  2 Pb 2.17-2.22, 2 Cd 2.34-2.36
O: 0.9738 0.4646 0.2285  2 Pb 2.20-2.26, 2 Cd 2.25-2.29
O: 0.9982 0.0445 0.7667  2 Pb 2.15-2.26, 2 Cd 2.29-2.33

Computed properties:
Density (g/cm3): 8.5
Energy of formation (kJ/mol of atoms): -108.01